[1]
The following is a DFT calculation (PBE-GGA) of crystalline Na18Mg8Ta16Si21S15O144 at its relaxed geometry.

a b c (Å): 8.899 15.396 22.748
angles (deg): 89.94 89.91 89.92
Space group P1 (No. 1)
Asymmetric unit:
Na  0.000  0.000  0.000 (multiplicity 1)
Na  0.000  0.324  0.172 (multiplicity 1)
Na  0.135  0.494  0.254 (multiplicity 1)
Na  0.191  0.173  0.253 (multiplicity 1)
Na  0.298  0.675  0.755 (multiplicity 1)
Na  0.361  0.996  0.753 (multiplicity 1)
Na  0.489  0.501  0.502 (multiplicity 1)
Na  0.494  0.829  0.675 (multiplicity 1)
Na  0.497  0.163  0.342 (multiplicity 1)
Na  0.498  0.501  0.000 (multiplicity 1)
Na  0.505  0.163  0.837 (multiplicity 1)
Na  0.505  0.834  0.173 (multiplicity 1)
Na  0.691  0.675  0.254 (multiplicity 1)
Na  0.793  0.167  0.757 (multiplicity 1)
Na  0.985  0.331  0.675 (multiplicity 1)
Na  0.992  0.666  0.839 (multiplicity 1)
Na  0.992  0.673  0.344 (multiplicity 1)
Na  0.993  0.000  0.505 (multiplicity 1)
Mg  0.000  0.659  0.695 (multiplicity 1)
Mg  0.488  0.158  0.194 (multiplicity 1)
Mg  0.490  0.490  0.369 (multiplicity 1)
Mg  0.501  0.491  0.868 (multiplicity 1)
Mg  0.508  0.155  0.696 (multiplicity 1)
Mg  0.988  0.663  0.193 (multiplicity 1)
Mg  0.989  0.989  0.369 (multiplicity 1)
Mg  0.992  0.992  0.866 (multiplicity 1)
Ta  0.008  0.326  0.326 (multiplicity 1)
Ta  0.484  0.830  0.823 (multiplicity 1)
Ta  0.485  0.490  0.152 (multiplicity 1)
Ta  0.493  0.148  0.491 (multiplicity 1)
Ta  0.494  0.823  0.030 (multiplicity 1)
Ta  0.495  0.147  0.988 (multiplicity 1)
Ta  0.496  0.823  0.532 (multiplicity 1)
Ta  0.506  0.491  0.654 (multiplicity 1)
Ta  0.511  0.831  0.326 (multiplicity 1)
Ta  0.978  0.329  0.824 (multiplicity 1)
Ta  0.984  0.991  0.154 (multiplicity 1)
Ta  0.992  0.989  0.657 (multiplicity 1)
Ta  0.993  0.649  0.490 (multiplicity 1)
Ta  0.996  0.323  0.031 (multiplicity 1)
Ta  0.996  0.649  0.989 (multiplicity 1)
Ta  0.998  0.323  0.532 (multiplicity 1)
Si  0.124  0.844  0.764 (multiplicity 1)
Si  0.130  0.513  0.099 (multiplicity 1)
Si  0.145  0.176  0.429 (multiplicity 1)
Si  0.147  0.470  0.429 (multiplicity 1)
Si  0.208  0.159  0.098 (multiplicity 1)
Si  0.282  0.658  0.598 (multiplicity 1)
Si  0.339  0.968  0.928 (multiplicity 1)
Si  0.347  0.012  0.599 (multiplicity 1)
Si  0.349  0.677  0.927 (multiplicity 1)
Si  0.364  0.344  0.264 (multiplicity 1)
Si  0.625  0.346  0.765 (multiplicity 1)
Si  0.631  0.013  0.097 (multiplicity 1)
Si  0.643  0.677  0.428 (multiplicity 1)
Si  0.650  0.970  0.430 (multiplicity 1)
Si  0.707  0.659  0.097 (multiplicity 1)
Si  0.708  0.991  0.765 (multiplicity 1)
Si  0.784  0.157  0.597 (multiplicity 1)
Si  0.841  0.469  0.929 (multiplicity 1)
Si  0.847  0.177  0.928 (multiplicity 1)
Si  0.857  0.513  0.598 (multiplicity 1)
Si  0.864  0.845  0.264 (multiplicity 1)
S  0.139  0.138  0.761 (multiplicity 1)
S  0.140  0.803  0.095 (multiplicity 1)
S  0.209  0.489  0.762 (multiplicity 1)
S  0.209  0.824  0.428 (multiplicity 1)
S  0.281  0.989  0.262 (multiplicity 1)
S  0.282  0.324  0.927 (multiplicity 1)
S  0.350  0.637  0.261 (multiplicity 1)
S  0.352  0.302  0.595 (multiplicity 1)
S  0.640  0.302  0.095 (multiplicity 1)
S  0.642  0.635  0.761 (multiplicity 1)
S  0.708  0.324  0.428 (multiplicity 1)
S  0.780  0.489  0.262 (multiplicity 1)
S  0.783  0.824  0.928 (multiplicity 1)
S  0.847  0.136  0.262 (multiplicity 1)
S  0.852  0.802  0.594 (multiplicity 1)
O  0.059  0.565  0.433 (multiplicity 1)
O  0.063  0.227  0.766 (multiplicity 1)
O  0.064  0.098  0.708 (multiplicity 1)
O  0.064  0.425  0.369 (multiplicity 1)
O  0.067  0.416  0.086 (multiplicity 1)
O  0.069  0.745  0.757 (multiplicity 1)
O  0.070  0.231  0.483 (multiplicity 1)
O  0.072  0.552  0.159 (multiplicity 1)
O  0.072  0.766  0.041 (multiplicity 1)
O  0.074  0.893  0.101 (multiplicity 1)
O  0.074  0.894  0.821 (multiplicity 1)
O  0.077  0.083  0.420 (multiplicity 1)
O  0.091  0.240  0.084 (multiplicity 1)
O  0.091  0.410  0.483 (multiplicity 1)
O  0.102  0.070  0.105 (multiplicity 1)
O  0.106  0.563  0.756 (multiplicity 1)
O  0.106  0.576  0.040 (multiplicity 1)
O  0.107  0.241  0.369 (multiplicity 1)
O  0.107  0.908  0.704 (multiplicity 1)
O  0.115  0.745  0.434 (multiplicity 1)
O  0.116  0.087  0.814 (multiplicity 1)
O  0.117  0.406  0.767 (multiplicity 1)
O  0.118  0.752  0.148 (multiplicity 1)
O  0.119  0.902  0.423 (multiplicity 1)
O  0.163  0.001  0.601 (multiplicity 1)
O  0.163  0.339  0.267 (multiplicity 1)
O  0.163  0.680  0.938 (multiplicity 1)
O  0.164  0.978  0.925 (multiplicity 1)
O  0.170  0.647  0.539 (multiplicity 1)
O  0.185  0.316  0.587 (multiplicity 1)
O  0.185  0.333  0.982 (multiplicity 1)
O  0.186  0.310  0.875 (multiplicity 1)
O  0.187  0.646  0.253 (multiplicity 1)
O  0.188  0.003  0.314 (multiplicity 1)
O  0.188  0.978  0.208 (multiplicity 1)
O  0.198  0.677  0.657 (multiplicity 1)
O  0.290  0.179  0.158 (multiplicity 1)
O  0.300  0.151  0.751 (multiplicity 1)
O  0.302  0.503  0.814 (multiplicity 1)
O  0.303  0.478  0.708 (multiplicity 1)
O  0.305  0.833  0.481 (multiplicity 1)
O  0.306  0.810  0.374 (multiplicity 1)
O  0.306  0.816  0.087 (multiplicity 1)
O  0.320  0.148  0.040 (multiplicity 1)
O  0.320  0.503  0.102 (multiplicity 1)
O  0.322  0.479  0.426 (multiplicity 1)
O  0.323  0.836  0.767 (multiplicity 1)
O  0.329  0.181  0.437 (multiplicity 1)
O  0.371  0.402  0.924 (multiplicity 1)
O  0.373  0.251  0.648 (multiplicity 1)
O  0.373  0.906  0.267 (multiplicity 1)
O  0.376  0.245  0.935 (multiplicity 1)
O  0.380  0.585  0.313 (multiplicity 1)
O  0.381  0.074  0.539 (multiplicity 1)
O  0.384  0.063  0.256 (multiplicity 1)
O  0.386  0.409  0.204 (multiplicity 1)
O  0.387  0.739  0.868 (multiplicity 1)
O  0.388  0.569  0.603 (multiplicity 1)
O  0.397  0.739  0.583 (multiplicity 1)
O  0.397  0.909  0.984 (multiplicity 1)
O  0.413  0.582  0.922 (multiplicity 1)
O  0.415  0.052  0.656 (multiplicity 1)
O  0.416  0.393  0.601 (multiplicity 1)
O  0.417  0.245  0.258 (multiplicity 1)
O  0.418  0.265  0.541 (multiplicity 1)
O  0.419  0.397  0.319 (multiplicity 1)
O  0.420  0.915  0.584 (multiplicity 1)
O  0.421  0.730  0.983 (multiplicity 1)
O  0.423  0.725  0.264 (multiplicity 1)
O  0.424  0.596  0.207 (multiplicity 1)
O  0.424  0.925  0.869 (multiplicity 1)
O  0.428  0.064  0.934 (multiplicity 1)
O  0.560  0.065  0.434 (multiplicity 1)
O  0.563  0.722  0.764 (multiplicity 1)
O  0.565  0.925  0.371 (multiplicity 1)
O  0.566  0.056  0.154 (multiplicity 1)
O  0.567  0.594  0.707 (multiplicity 1)
O  0.568  0.396  0.820 (multiplicity 1)
O  0.568  0.915  0.084 (multiplicity 1)
O  0.569  0.731  0.483 (multiplicity 1)
O  0.572  0.248  0.757 (multiplicity 1)
O  0.572  0.266  0.042 (multiplicity 1)
O  0.574  0.393  0.102 (multiplicity 1)
O  0.576  0.584  0.420 (multiplicity 1)
O  0.585  0.068  0.757 (multiplicity 1)
O  0.590  0.740  0.084 (multiplicity 1)
O  0.592  0.910  0.484 (multiplicity 1)
O  0.600  0.409  0.704 (multiplicity 1)
O  0.601  0.569  0.104 (multiplicity 1)
O  0.604  0.742  0.369 (multiplicity 1)
O  0.608  0.898  0.769 (multiplicity 1)
O  0.610  0.074  0.037 (multiplicity 1)
O  0.610  0.584  0.813 (multiplicity 1)
O  0.615  0.245  0.433 (multiplicity 1)
O  0.617  0.252  0.148 (multiplicity 1)
O  0.619  0.402  0.423 (multiplicity 1)
O  0.662  0.181  0.937 (multiplicity 1)
O  0.665  0.837  0.267 (multiplicity 1)
O  0.667  0.479  0.927 (multiplicity 1)
O  0.669  0.502  0.602 (multiplicity 1)
O  0.671  0.148  0.538 (multiplicity 1)
O  0.684  0.815  0.587 (multiplicity 1)
O  0.685  0.832  0.982 (multiplicity 1)
O  0.687  0.149  0.253 (multiplicity 1)
O  0.687  0.808  0.876 (multiplicity 1)
O  0.688  0.479  0.208 (multiplicity 1)
O  0.688  0.503  0.314 (multiplicity 1)
O  0.698  0.179  0.656 (multiplicity 1)
O  0.790  0.676  0.157 (multiplicity 1)
O  0.803  0.647  0.752 (multiplicity 1)
O  0.805  0.333  0.481 (multiplicity 1)
O  0.806  0.316  0.088 (multiplicity 1)
O  0.807  0.310  0.374 (multiplicity 1)
O  0.814  0.014  0.818 (multiplicity 1)
O  0.816  0.979  0.704 (multiplicity 1)
O  0.818  0.647  0.039 (multiplicity 1)
O  0.820  0.002  0.102 (multiplicity 1)
O  0.824  0.338  0.768 (multiplicity 1)
O  0.824  0.979  0.427 (multiplicity 1)
O  0.828  0.681  0.436 (multiplicity 1)
O  0.872  0.752  0.647 (multiplicity 1)
O  0.874  0.901  0.925 (multiplicity 1)
O  0.876  0.407  0.266 (multiplicity 1)
O  0.877  0.744  0.935 (multiplicity 1)
O  0.879  0.574  0.537 (multiplicity 1)
O  0.881  0.086  0.314 (multiplicity 1)
O  0.885  0.241  0.870 (multiplicity 1)
O  0.887  0.563  0.257 (multiplicity 1)
O  0.891  0.070  0.601 (multiplicity 1)
O  0.892  0.907  0.204 (multiplicity 1)
O  0.898  0.240  0.582 (multiplicity 1)
O  0.899  0.411  0.985 (multiplicity 1)
O  0.916  0.762  0.540 (multiplicity 1)
O  0.918  0.233  0.984 (multiplicity 1)
O  0.918  0.745  0.257 (multiplicity 1)
O  0.919  0.891  0.598 (multiplicity 1)
O  0.920  0.085  0.925 (multiplicity 1)
O  0.921  0.415  0.584 (multiplicity 1)
O  0.923  0.894  0.320 (multiplicity 1)
O  0.924  0.096  0.207 (multiplicity 1)
O  0.924  0.556  0.654 (multiplicity 1)
O  0.925  0.225  0.265 (multiplicity 1)
O  0.927  0.424  0.871 (multiplicity 1)
O  0.930  0.565  0.934 (multiplicity 1)

Properties
Energy relative to the elements   -2.7430 eV per atom

[2]
The following is a DFT calculation (PBE-GGA) of crystalline Ce4Se3N2 at its relaxed geometry.

a b c (Å): 6.904 11.176 10.790
angles (deg): 90.00 90.00 90.00
Space group Pnma (No. 62)
Asymmetric unit:
Ce  0.103  0.250  0.165 (multiplicity 4)
Ce  0.161  0.053  0.883 (multiplicity 8)
Ce  0.205  0.250  0.528 (multiplicity 4)
Se  0.060  0.580  0.636 (multiplicity 8)
Se  0.075  0.750  0.262 (multiplicity 4)
N  0.055  0.619  0.967 (multiplicity 8)

Properties
Excess energy over the best structure of this formula in the dataset   0.0097 eV per atom
Energy relative to the elements   -1.8104 eV per atom